Entry 1:
A relaxed structure of K2Hg6S7. Source: the Materials Project database, functional PBE.

Calculated values
ΔE_f (eV/atom): -0.620

Cell lengths 4.1687, 14.1509, 14.1511 Å; angles 90.00, 90.00, 90.00 degrees
Fractional coordinates of all 30 atoms:
K  0.0000  0.0000  0.0000
K  0.0000  0.3423  0.6577
K  0.4719  0.4997  0.1577
K  0.4719  0.8423  0.4997
Hg  0.4748  0.0121  0.2610
Hg  0.4748  0.3299  0.3965
Hg  0.4748  0.6033  0.6698
Hg  0.4748  0.7388  0.9876
Hg  0.5114  0.0729  0.7303
Hg  0.5114  0.2691  0.9271
Hg  0.9605  0.7691  0.2303
Hg  0.9605  0.5726  0.4268
Hg  0.9971  0.1033  0.4876
Hg  0.9971  0.2388  0.1698
Hg  0.9971  0.5122  0.8965
Hg  0.9971  0.8299  0.7610
S  0.1794  0.1710  0.8287
S  0.2925  0.6710  0.3287
S  0.4906  0.1361  0.1328
S  0.4906  0.2060  0.5246
S  0.4906  0.4751  0.7938
S  0.4906  0.8669  0.8636
S  0.5671  0.4855  0.5141
S  0.5671  0.8564  0.1432
S  0.9048  0.3564  0.0142
S  0.9048  0.9856  0.6432
S  0.9813  0.3669  0.2938
S  0.9813  0.6361  0.0246
S  0.9813  0.7060  0.6328
S  0.9813  0.9751  0.3636

Entry 2:
A relaxed structure of K2Hg3S4. Source: the Materials Project database, functional PBE.

Calculated values
ΔE_f (eV/atom): -0.766

Cell lengths 10.8210, 6.6910, 13.9516 Å; angles 90.00, 90.00, 90.00 degrees
Fractional coordinates of all 36 atoms:
K  0.1211  0.2341  0.0018
K  0.1211  0.7659  0.5018
K  0.3789  0.2659  0.5018
K  0.3789  0.7341  0.0018
K  0.6211  0.2659  0.9982
K  0.6211  0.7341  0.4982
K  0.8789  0.2341  0.4982
K  0.8789  0.7659  0.9982
Hg  0.0000  0.4160  0.7500
Hg  0.0000  0.5840  0.2500
Hg  0.1583  0.0859  0.2584
Hg  0.1583  0.9141  0.7584
Hg  0.3417  0.4141  0.7584
Hg  0.3417  0.5859  0.2584
Hg  0.5000  0.0840  0.2500
Hg  0.5000  0.9160  0.7500
Hg  0.6583  0.4141  0.7416
Hg  0.6583  0.5859  0.2416
Hg  0.8417  0.0859  0.2416
Hg  0.8417  0.9141  0.7416
S  0.1291  0.3614  0.3675
S  0.1291  0.6386  0.8675
S  0.1329  0.1740  0.6415
S  0.1329  0.8260  0.1415
S  0.3671  0.3260  0.1415
S  0.3671  0.6740  0.6415
S  0.3709  0.1386  0.8675
S  0.3709  0.8614  0.3675
S  0.6291  0.1386  0.6325
S  0.6291  0.8614  0.1325
S  0.6329  0.3260  0.3585
S  0.6329  0.6740  0.8585
S  0.8671  0.1740  0.8585
S  0.8671  0.8260  0.3585
S  0.8709  0.3614  0.1325
S  0.8709  0.6386  0.6325

Entry 3:
A relaxed structure of K2Sn2Hg3S8. Source: the Materials Project database, functional PBE.

Calculated values
ΔE_f (eV/atom): -0.790

Cell lengths 20.0460, 6.7108, 6.7108 Å; angles 96.71, 90.00, 90.00 degrees
Fractional coordinates of all 30 atoms:
K  0.1177  0.2062  0.7938
K  0.3823  0.7062  0.2938
K  0.6177  0.2938  0.7062
K  0.8823  0.7938  0.2062
Sn  0.1360  0.7220  0.2954
Sn  0.3640  0.2220  0.7954
Sn  0.6360  0.7954  0.2220
Sn  0.8640  0.2954  0.7220
Hg  0.0000  0.3622  0.3622
Hg  0.2470  0.6594  0.7385
Hg  0.2530  0.1594  0.2385
Hg  0.5000  0.8622  0.8622
Hg  0.7470  0.2385  0.1594
Hg  0.7530  0.7385  0.6594
S  0.0329  0.5864  0.1313
S  0.1281  0.6733  0.6489
S  0.1330  0.0772  0.2483
S  0.2329  0.5676  0.1425
S  0.2671  0.0676  0.6425
S  0.3670  0.5772  0.7483
S  0.3719  0.1733  0.1489
S  0.4671  0.0864  0.6313
S  0.5329  0.6313  0.0864
S  0.6281  0.1489  0.1733
S  0.6330  0.7483  0.5772
S  0.7329  0.6425  0.0676
S  0.7671  0.1425  0.5676
S  0.8670  0.2483  0.0772
S  0.8719  0.6489  0.6733
S  0.9671  0.1313  0.5864

Entry 4:
A relaxed structure of KHgSb. Source: the Materials Project database, functional PBE.

Calculated values
ΔE_f (eV/atom): -0.425

Cell lengths 4.8993, 4.8993, 10.4942 Å; angles 90.00, 90.00, 120.00 degrees
Fractional coordinates of all 6 atoms:
K  0.0000  0.0000  0.0000
K  0.0000  0.0000  0.5000
Hg  0.3333  0.6667  0.2500
Hg  0.6667  0.3333  0.7500
Sb  0.3333  0.6667  0.7500
Sb  0.6667  0.3333  0.2500

Entry 5:
A relaxed structure of K6HgSe4. Source: the Materials Project database, functional PBE.

Calculated values
ΔE_f (eV/atom): -1.175

Cell lengths 10.5219, 10.5219, 8.0066 Å; angles 90.00, 90.00, 120.00 degrees
Fractional coordinates of all 22 atoms:
K  0.0551  0.5276  0.0000
K  0.1487  0.2974  0.3285
K  0.1487  0.8513  0.3285
K  0.2974  0.1487  0.8285
K  0.4724  0.5276  0.0000
K  0.4724  0.9449  0.0000
K  0.5276  0.0551  0.5000
K  0.5276  0.4724  0.5000
K  0.7026  0.8513  0.3285
K  0.8513  0.1487  0.8285
K  0.8513  0.7026  0.8285
K  0.9449  0.4724  0.5000
Hg  0.3333  0.6667  0.6241
Hg  0.6667  0.3333  0.1241
Se  0.1892  0.3784  0.7274
Se  0.1892  0.8108  0.7274
Se  0.3333  0.6667  0.2787
Se  0.3784  0.1892  0.2274
Se  0.6216  0.8108  0.7274
Se  0.6667  0.3333  0.7787
Se  0.8108  0.1892  0.2274
Se  0.8108  0.6216  0.2274

Entry 6:
A relaxed structure of KSi2Hg. Source: the Materials Project database, functional PBE.

Calculated values
ΔE_f (eV/atom): 0.559

Cell lengths 7.2181, 7.2181, 7.2181 Å; angles 90.00, 90.00, 90.00 degrees
Fractional coordinates of all 16 atoms:
K  0.0000  0.0000  0.0000
K  0.0000  0.5000  0.5000
K  0.5000  0.0000  0.5000
K  0.5000  0.5000  0.0000
Si  0.0000  0.0000  0.5000
Si  0.0000  0.5000  0.0000
Si  0.2500  0.2500  0.7500
Si  0.2500  0.7500  0.2500
Si  0.5000  0.0000  0.0000
Si  0.5000  0.5000  0.5000
Si  0.7500  0.2500  0.2500
Si  0.7500  0.7500  0.7500
Hg  0.2500  0.2500  0.2500
Hg  0.2500  0.7500  0.7500
Hg  0.7500  0.2500  0.7500
Hg  0.7500  0.7500  0.2500

Entry 7:
A relaxed structure of LaHg3. Source: the Materials Project database, functional PBE.

Calculated values
ΔE_f (eV/atom): -0.184

Cell lengths 4.0404, 4.0404, 8.5483 Å; angles 90.00, 90.00, 120.00 degrees
Fractional coordinates of all 4 atoms:
La  0.0000  0.0000  0.0000
Hg  0.0000  0.0000  0.5000
Hg  0.3333  0.6667  0.2667
Hg  0.3333  0.6667  0.7333

Entry 8:
A relaxed structure of LaHg3. Source: the Materials Project database, functional PBE.

Calculated values
ΔE_f (eV/atom): -0.436

Cell lengths 6.9109, 6.9109, 5.1721 Å; angles 90.00, 90.00, 120.00 degrees
Fractional coordinates of all 8 atoms:
La  0.3333  0.6667  0.2500
La  0.6667  0.3333  0.7500
Hg  0.1622  0.3244  0.7500
Hg  0.1622  0.8378  0.7500
Hg  0.3244  0.1622  0.2500
Hg  0.6756  0.8378  0.7500
Hg  0.8378  0.1622  0.2500
Hg  0.8378  0.6756  0.2500

Entry 9:
A relaxed structure of LiLaHg2. Source: the Materials Project database, functional PBE.

Calculated values
ΔE_f (eV/atom): -0.468

Cell lengths 7.4233, 7.4233, 7.4233 Å; angles 90.00, 90.00, 90.00 degrees
Fractional coordinates of all 16 atoms:
Li  0.0000  0.0000  0.0000
Li  0.0000  0.5000  0.5000
Li  0.5000  0.0000  0.5000
Li  0.5000  0.5000  0.0000
La  0.0000  0.0000  0.5000
La  0.0000  0.5000  0.0000
La  0.5000  0.0000  0.0000
La  0.5000  0.5000  0.5000
Hg  0.2500  0.2500  0.2500
Hg  0.2500  0.2500  0.7500
Hg  0.2500  0.7500  0.2500
Hg  0.2500  0.7500  0.7500
Hg  0.7500  0.2500  0.2500
Hg  0.7500  0.2500  0.7500
Hg  0.7500  0.7500  0.2500
Hg  0.7500  0.7500  0.7500

Entry 10:
A relaxed structure of NaLaHg2. Source: the Materials Project database, functional PBE.

Calculated values
ΔE_f (eV/atom): -0.406

Cell lengths 7.5954, 7.5954, 7.5954 Å; angles 90.00, 90.00, 90.00 degrees
Fractional coordinates of all 16 atoms:
Na  0.0000  0.0000  0.0000
Na  0.0000  0.5000  0.5000
Na  0.5000  0.0000  0.5000
Na  0.5000  0.5000  0.0000
La  0.0000  0.0000  0.5000
La  0.0000  0.5000  0.0000
La  0.5000  0.0000  0.0000
La  0.5000  0.5000  0.5000
Hg  0.2500  0.2500  0.2500
Hg  0.2500  0.2500  0.7500
Hg  0.2500  0.7500  0.2500
Hg  0.2500  0.7500  0.7500
Hg  0.7500  0.2500  0.2500
Hg  0.7500  0.2500  0.7500
Hg  0.7500  0.7500  0.2500
Hg  0.7500  0.7500  0.7500

Entry 11:
A relaxed structure of LaHgPd. Source: the Materials Project database, functional PBE.

Calculated values
ΔE_f (eV/atom): -0.722

Cell lengths 7.8936, 7.8936, 4.0605 Å; angles 90.00, 90.00, 120.00 degrees
Fractional coordinates of all 9 atoms:
La  0.0000  0.4053  0.0000
La  0.4053  0.0000  0.0000
La  0.5947  0.5947  0.0000
Hg  0.0000  0.7444  0.5000
Hg  0.2556  0.2556  0.5000
Hg  0.7444  0.0000  0.5000
Pd  0.0000  0.0000  0.0000
Pd  0.3333  0.6667  0.5000
Pd  0.6667  0.3333  0.5000

Entry 12:
A relaxed structure of LaPrHg2. Source: the Materials Project database, functional PBE.

Calculated values
ΔE_f (eV/atom): -0.474

Cell lengths 7.7899, 7.7899, 7.7899 Å; angles 90.00, 90.00, 90.00 degrees
Fractional coordinates of all 16 atoms:
La  0.0000  0.0000  0.0000
La  0.0000  0.5000  0.5000
La  0.5000  0.0000  0.5000
La  0.5000  0.5000  0.0000
Pr  0.0000  0.0000  0.5000
Pr  0.0000  0.5000  0.0000
Pr  0.5000  0.0000  0.0000
Pr  0.5000  0.5000  0.5000
Hg  0.2500  0.2500  0.2500
Hg  0.2500  0.2500  0.7500
Hg  0.2500  0.7500  0.2500
Hg  0.2500  0.7500  0.7500
Hg  0.7500  0.2500  0.2500
Hg  0.7500  0.2500  0.7500
Hg  0.7500  0.7500  0.2500
Hg  0.7500  0.7500  0.7500

Q: Which value of ΔE_f does entry 8 give?
A: -0.436 eV/atom